# 1
## Ca2MgFeC4O12 (PBE with a Hubbard U)

Data for crystalline Ca2MgFeC4O12 at its relaxed geometry.

Calculated values
Calculated formation energy: -2.405 eV per atom
Total moment: 0.00 μB per atom
VASP energy: -7.398 eV per atom
Mass density: 2.96 Mg/m³

```
Ca2MgFeC4O12
1.0
4.5937 6.1228 -1.4732
-5.1657 5.7118 -1.5484
-0.0650 -0.3369 7.8383
C O Fe Ca Mg
8 24 2 4 2
direct
0.9960 0.7401 0.5045
0.4919 0.7461 0.0084
0.5074 0.2553 0.9957
0.5045 0.7582 0.4909
0.0071 0.7559 0.9950
0.4963 0.2396 0.5053
0.9921 0.2465 0.0087
0.0047 0.2585 0.4914
0.3746 0.3818 0.5176
0.8663 0.3854 0.0208
0.8737 0.8818 0.5167
0.0197 0.8836 0.1319
0.8622 0.2756 0.3688
0.9795 0.6149 0.3657
0.6324 0.7316 0.1337
0.0194 0.3790 0.6352
0.9816 0.1237 0.8665
0.3662 0.8850 0.0208
0.6387 0.2264 0.6295
0.6283 0.6178 0.4747
0.1384 0.7275 0.6285
0.1312 0.6156 0.9870
0.1285 0.1182 0.4749
0.8668 0.7658 0.8680
0.6322 0.1155 0.9879
0.5199 0.3832 0.1326
0.3671 0.2646 0.8690
0.3626 0.7753 0.3674
0.5186 0.8783 0.6348
0.4806 0.6229 0.8664
0.4797 0.1147 0.3664
0.1320 0.2320 0.1348
0.2518 0.4980 0.7521
0.7519 0.9980 0.7522
0.7472 0.4996 0.7466
0.2525 0.5004 0.2533
0.7524 0.0004 0.2532
0.2473 0.9995 0.7467
0.7484 0.5017 0.2482
0.2483 0.0018 0.2482
```



# 2
## Ca2MgFeC4O12 (PBE with a Hubbard U)

Data for crystalline Ca2MgFeC4O12 at its relaxed geometry.

Calculated values
Calculated formation energy: -2.405 eV per atom
Total moment: 0.00 μB per atom
VASP energy: -7.399 eV per atom
Mass density: 2.96 Mg/m³

```
Ca2MgFeC4O12
1.0
-4.2219 -1.9454 -1.5072
4.9417 -19.6566 11.7968
-3.5320 2.6613 6.4732
Fe Mg Ca C O
4 4 8 16 48
direct
0.7525 0.4375 0.3141
0.7525 0.9374 0.8140
0.7523 0.6876 0.0635
0.7536 0.1874 0.5645
0.2453 0.8129 0.4361
0.2483 0.5620 0.6855
0.2483 0.0623 0.1852
0.2456 0.3128 0.9370
0.2484 0.3115 0.4362
0.7523 0.1881 0.0651
0.7514 0.9382 0.3150
0.7515 0.6881 0.5646
0.2480 0.0620 0.6851
0.2478 0.5624 0.1851
0.2478 0.8117 0.9352
0.7509 0.4379 0.8147
0.2553 0.9404 0.0553
0.2549 0.4403 0.5553
0.7447 0.8161 0.6754
0.7484 0.0657 0.4255
0.2571 0.1836 0.3210
0.2510 0.1911 0.8050
0.7452 0.3160 0.1767
0.7489 0.0591 0.9486
0.2513 0.9344 0.5701
0.7453 0.3096 0.6995
0.2506 0.4344 0.0706
0.2565 0.6837 0.8199
0.7480 0.5657 0.9249
0.7452 0.8097 0.1990
0.7483 0.5591 0.4482
0.2498 0.6912 0.3051
0.1411 0.9756 0.1576
0.4120 0.2156 0.4134
0.1012 0.1588 0.7102
0.4035 0.4671 0.1607
0.1358 0.7262 0.4079
0.4053 0.9669 0.6601
0.4804 0.8126 0.2084
0.3600 0.3988 0.9675
0.5206 0.9365 0.0499
0.9866 0.9392 0.5790
0.8573 0.2765 0.5896
0.5902 0.0348 0.3327
0.0124 0.5620 0.9130
0.5201 0.4366 0.5497
0.4846 0.0627 0.9573
0.0125 0.0617 0.4128
0.3591 0.8989 0.4663
0.1355 0.2260 0.9073
0.8589 0.7766 0.0897
0.8992 0.3406 0.7944
0.3644 0.6484 0.7160
0.9858 0.4389 0.0788
0.6418 0.0988 0.5372
0.9933 0.6894 0.8274
0.8622 0.0250 0.8419
0.5137 0.6865 0.3006
0.1063 0.4075 0.4625
0.8605 0.5252 0.3406
0.9035 0.5908 0.5406
0.9936 0.1887 0.3280
0.5860 0.2845 0.0862
0.4131 0.7157 0.9117
0.4840 0.5627 0.4575
0.6383 0.3502 0.2854
0.5865 0.7845 0.5847
0.3664 0.1484 0.2170
0.1068 0.9077 0.9623
0.4807 0.3128 0.7094
0.1403 0.4755 0.6576
0.6394 0.5990 0.0353
0.9032 0.0910 0.0411
0.0983 0.6592 0.2104
0.6363 0.8502 0.7838
0.0086 0.8120 0.6639
0.0090 0.3115 0.1650
0.5151 0.1869 0.8009
0.5914 0.5346 0.8317
0.8980 0.8409 0.2941
```



# 3
## Ca3Ni2H8C10S8O26 (PBE with a Hubbard U)

Data for crystalline Ca3Ni2H8C10S8O26 at its relaxed geometry.

Calculated values
Calculated formation energy: -1.064 eV per atom
Total moment: 0.15 μB per atom
VASP energy: -5.832 eV per atom
Mass density: 1.83 Mg/m³

```
Ca3Ni2H8C10S8O26
1.0
11.3377 -11.4227 0.0000
11.3377 11.4227 0.0000
0.0000 0.0000 7.2727
O H C S Ni Ca
52 16 20 16 4 6
direct
0.0128 0.7699 0.0510
0.9522 0.8512 0.5483
0.6544 0.6544 0.5000
0.4872 0.7301 0.4490
0.6677 0.2117 0.4354
0.5478 0.6488 0.9517
0.8323 0.2883 0.0646
0.8857 0.8084 0.5407
0.6940 0.3716 0.1997
0.3323 0.7883 0.4354
0.4521 0.5499 0.6900
0.3512 0.4522 0.0483
0.7301 0.4872 0.5510
0.0479 0.9501 0.8100
0.7117 0.1677 0.9354
0.1544 0.1544 0.0000
0.8084 0.8857 0.4593
0.8060 0.1284 0.3003
0.6284 0.3060 0.8003
0.5128 0.2699 0.4490
0.1488 0.0478 0.4517
0.5499 0.4521 0.3100
0.1916 0.1143 0.4593
0.0499 0.9521 0.1900
0.3084 0.3857 0.0407
0.7699 0.0128 0.9490
0.1284 0.8060 0.6997
0.2883 0.8323 0.9354
0.8456 0.8456 0.0000
0.3456 0.3456 0.5000
0.1677 0.7117 0.0646
0.9872 0.2301 0.0510
0.3716 0.6940 0.8003
0.6143 0.6916 0.9593
0.2117 0.6677 0.5646
0.8716 0.1940 0.6997
0.4522 0.3512 0.9517
0.7883 0.3323 0.5646
0.0478 0.1488 0.5483
0.9501 0.0479 0.1900
0.1940 0.8716 0.3003
0.2301 0.9872 0.9490
0.3060 0.6284 0.1997
0.8512 0.9522 0.4517
0.4501 0.5479 0.3100
0.6488 0.5478 0.0483
0.5479 0.4501 0.6900
0.3857 0.3084 0.9593
0.6916 0.6143 0.0407
0.9521 0.0499 0.8100
0.1143 0.1916 0.5407
0.2699 0.5128 0.5510
0.8121 0.0767 0.3692
0.3121 0.5767 0.1308
0.6879 0.4233 0.1308
0.7390 0.3395 0.1414
0.1605 0.7610 0.6414
0.2390 0.8395 0.3586
0.1879 0.9233 0.3692
0.8395 0.2390 0.6414
0.7610 0.1605 0.3586
0.5767 0.3121 0.8692
0.6605 0.2610 0.8586
0.9233 0.1879 0.6308
0.2610 0.6605 0.1414
0.0767 0.8121 0.6308
0.3395 0.7390 0.8586
0.4233 0.6879 0.8692
0.6596 0.1100 0.9482
0.9791 0.3065 0.0495
0.5209 0.1935 0.4505
0.3404 0.8900 0.9482
0.6100 0.1596 0.4482
0.8404 0.3900 0.5518
0.6935 0.0209 0.9505
0.5000 0.5000 0.3934
0.8065 0.4791 0.5495
0.1935 0.5209 0.5495
0.1100 0.6596 0.0518
0.8900 0.3404 0.0518
0.5000 0.5000 0.6066
0.3900 0.8404 0.4482
0.0209 0.6935 0.0495
0.3065 0.9791 0.9505
0.1596 0.6100 0.5518
0.0000 0.0000 0.8934
0.0000 0.0000 0.1066
0.4791 0.8065 0.4505
0.4448 0.8727 0.9640
0.1273 0.5552 0.0360
0.0552 0.6273 0.5360
0.5618 0.8754 0.4534
0.6246 0.9382 0.9534
0.9448 0.3727 0.5360
0.5552 0.1273 0.9640
0.0618 0.3754 0.0466
0.9382 0.6246 0.0466
0.1246 0.4382 0.5466
0.6273 0.0552 0.4640
0.3754 0.0618 0.9534
0.8727 0.4448 0.0360
0.3727 0.9448 0.4640
0.4382 0.1246 0.4534
0.8754 0.5618 0.5466
0.0000 0.5000 0.0378
0.5000 0.0000 0.9622
0.5000 0.0000 0.4622
0.0000 0.5000 0.5378
0.8637 0.1363 0.0000
0.0000 0.0000 0.5000
0.6363 0.3637 0.5000
0.5000 0.5000 0.0000
0.1363 0.8637 0.0000
0.3637 0.6363 0.5000
```



# 4
## CaH6W3C2O4 (PBE with a Hubbard U)

Data for crystalline CaH6W3C2O4 at its relaxed geometry.

Calculated values
Calculated formation energy: -0.120 eV per atom
Total moment: 0.37 μB per atom
VASP energy: -5.334 eV per atom
Mass density: 4.47 Mg/m³

```
CaH6W3C2O4
1.0
-5.2887 -0.3165 -1.7392
-4.2677 -8.0412 6.7954
-3.5863 4.9523 5.7472
H W Ca O C
12 6 2 8 4
direct
0.7989 0.8421 0.4314
0.3735 0.8035 0.0626
0.6265 0.1965 0.9374
0.6095 0.1023 0.7107
0.2011 0.1579 0.5686
0.3719 0.0884 0.9633
0.0367 0.8379 0.1852
0.1474 0.2827 0.2810
0.8526 0.7173 0.7190
0.3905 0.8977 0.2893
0.9633 0.1621 0.8148
0.6281 0.9116 0.0367
0.7707 0.0456 0.9131
0.2671 0.0621 0.7663
0.7433 0.9746 0.5671
0.7329 0.9379 0.2337
0.2293 0.9544 0.0869
0.2567 0.0254 0.4329
0.3457 0.7540 0.8202
0.6543 0.2460 0.1798
0.4464 0.5719 0.3237
0.6717 0.6149 0.8993
0.9313 0.3645 0.1073
0.0687 0.6355 0.8927
0.3283 0.3851 0.1007
0.6474 0.3014 0.4692
0.3526 0.6986 0.5308
0.5536 0.4281 0.6763
0.3995 0.6358 0.4260
0.1352 0.3454 0.1625
0.6005 0.3642 0.5740
0.8648 0.6546 0.8375
```